# LaTmS2

Crystalline LaTmS2 at its relaxed geometry (r2SCAN, Materials Project).

The total magnetic moment comes out at 0.0 μB/cell. The calculation puts the formation energy at -9.27 eV/f.u.

The structure belongs to space group R-3m (No. 166, hexagonal axes); the cell edges are 3.9302, 3.9302 and 20.1881 Å and the angles 90.00°, 90.00° and 120.00°. The distinct sites, in fractional coordinates, are La at (0.0000, 0.0000, 0.0000), Tm at (0.0000, 0.0000, 0.5000) and S at (0.0000, 0.0000, 0.2403).